The following is a DFT calculation (GGA+U) of an optimized crystal structure of Sr5Fe4CoO10.

Results
- energy (eV per cell) = -125.98
- total magnetic moment (μB/cell) = 18.974
- V (A^3/atom) = 14.31
- energy relative to the elements (eV/atom) = -2.230

Unit cell a=4.0446 b=4.0446 c=17.4938 alpha=90.00 beta=90.00 gamma=90.00
Space group P4/mmm (No. 123)
Inequivalent atoms, fractional coordinates:
Sr (0.0000, 0.0000, 0.0000)
Sr (0.0000, 0.0000, 0.2008)
Sr (0.0000, 0.0000, 0.4017)
Fe (0.5000, 0.5000, 0.1001)
Fe (0.5000, 0.5000, 0.3007)
Co (0.5000, 0.5000, 0.5000)
O (0.0000, 0.5000, 0.0997)
O (0.0000, 0.5000, 0.2993)
O (0.0000, 0.5000, 0.5000)


The following is a DFT calculation (GGA+U) of an optimized crystal structure of Cu3Mo2O10.

Results
- energy (eV per cell) = -182.27
- total magnetic moment (μB/cell) = 1.999
- V (A^3/atom) = 14.28
- energy relative to the elements (eV/atom) = -1.396

Unit cell a=5.5398 b=13.9290 c=7.5196 alpha=90.00 beta=132.42 gamma=90.00
Space group P2_1/c (No. 14)
Inequivalent atoms, fractional coordinates:
Cu (0.0000, 0.0000, 0.0000)
Cu (0.3809, 0.0897, 0.8676)
Mo (0.4275, 0.6540, 0.0437)
O (0.0221, 0.6289, 0.9262)
O (0.2205, 0.5262, 0.3895)
O (0.2553, 0.1123, 0.1444)
O (0.4531, 0.5937, 0.8504)
O (0.4577, 0.7190, 0.5268)


The following is a DFT calculation (GGA+U) of an optimized crystal structure of Ba2SmCoCu2O7.

Results
- energy (eV per cell) = -80.79
- total magnetic moment (μB/cell) = 2.521
- V (A^3/atom) = 14.06
- energy relative to the elements (eV/atom) = -2.211

Unit cell a=3.9017 b=3.9375 c=11.8948 alpha=90.00 beta=90.00 gamma=90.00
Space group Pmmm (No. 47)
Inequivalent atoms, fractional coordinates:
Ba (0.0000, 0.0000, 0.1844)
Sm (0.0000, 0.0000, 0.5000)
Co (0.5000, 0.5000, 0.0000)
Cu (0.5000, 0.5000, 0.3577)
O (0.0000, 0.5000, 0.3738)
O (0.5000, 0.0000, 0.0000)
O (0.5000, 0.0000, 0.3740)
O (0.5000, 0.5000, 0.1516)


The following is a DFT calculation (GGA+U) of an optimized crystal structure of Na2MoH4O6.

Results
- energy (eV per cell) = -577.32
- total magnetic moment (μB/cell) = 0.175
- excess energy over the best structure of this formula in the dataset (meV/atom) = 0
- V (A^3/atom) = 12.54
- energy relative to the elements (eV/atom) = -1.749

Unit cell a=8.8172 b=10.6580 c=13.8827 alpha=90.00 beta=90.00 gamma=90.00
Space group Pbca (No. 61)
Inequivalent atoms, fractional coordinates:
Na (0.1603, 0.0041, 0.0823)
Na (0.2443, 0.0563, 0.8562)
Mo (0.0160, 0.1987, 0.4764)
H (0.0528, 0.6675, 0.3345)
H (0.0580, 0.6011, 0.2339)
H (0.1314, 0.1451, 0.6728)
H (0.2127, 0.7138, 0.6785)
O (0.0409, 0.5846, 0.3033)
O (0.0437, 0.6790, 0.8998)
O (0.0589, 0.1379, 0.9587)
O (0.1265, 0.6524, 0.1109)
O (0.1818, 0.1056, 0.4599)
O (0.2350, 0.1365, 0.7000)